# K2Li14Zr3O14

A relaxed K2Li14Zr3O14 crystal (PBE-GGA, Materials Project).

## Properties
ΔE_f: -2571 meV/atom

Geometry as CIF:
```
data_K2Li14Zr3O14
_cell_length_a 7.358
_cell_length_b 7.904
_cell_length_c 12.648
_cell_angle_alpha 90.00
_cell_angle_beta 90.00
_cell_angle_gamma 90.00
_space_group_name_H-M_alt 'I m m m'
_space_group_IT_number 71
_space_group_name_Hall '-I 2 2'
loop_
_atom_site_label
_atom_site_fract_x
_atom_site_fract_y
_atom_site_fract_z
K1 0.241 0.000 0.000
Li1 0.000 0.143 0.229
Li2 0.000 0.154 0.500
Li3 0.228 0.159 0.365
Zr1 0.000 0.500 0.000
Zr2 0.000 0.500 0.272
O1 0.000 0.291 0.371
O2 0.000 0.321 0.128
O3 0.212 0.000 0.500
O4 0.214 0.000 0.245
```

---

# Li5SbS4

A relaxed Li5SbS4 crystal (PBE-GGA, Materials Project).

## Properties
ΔE_f: -1203 meV/atom

Geometry as CIF:
```
data_Li5SbS4
_cell_length_a 10.656
_cell_length_b 12.309
_cell_length_c 12.610
_cell_angle_alpha 90.00
_cell_angle_beta 90.00
_cell_angle_gamma 90.00
_space_group_name_H-M_alt 'P b c a'
_space_group_IT_number 61
_space_group_name_Hall '-P 2ac 2ab'
loop_
_atom_site_label
_atom_site_fract_x
_atom_site_fract_y
_atom_site_fract_z
Li1 0.095 0.146 0.161
Li2 0.113 0.641 0.098
Li3 0.120 0.619 0.870
Li4 0.158 0.097 0.638
Li5 0.161 0.117 0.395
Sb1 0.069 0.121 0.892
S1 0.003 0.525 0.214
S2 0.034 0.220 0.525
S3 0.221 0.225 0.779
S4 0.232 0.030 0.006
```

---

# Cs3Tl2Br9

A relaxed Cs3Tl2Br9 crystal (PBE-GGA, Materials Project).

## Properties
ΔE_f: -1434 meV/atom

Geometry as CIF:
```
data_Cs3Tl2Br9
_cell_length_a 8.0416
_cell_length_b 8.0416
_cell_length_c 9.8416
_cell_angle_alpha 90.00
_cell_angle_beta 90.00
_cell_angle_gamma 120.00
_space_group_name_H-M_alt 'P -3 m 1'
_space_group_IT_number 164
_space_group_name_Hall '-P 3 2"'
loop_
_atom_site_label
_atom_site_fract_x
_atom_site_fract_y
_atom_site_fract_z
Cs1 0.0000 0.0000 0.0000
Cs2 0.3333 0.6667 0.6638
Tl1 0.3333 0.6667 0.1884
Br1 0.0000 0.5000 0.0000
Br2 0.1661 0.3322 0.3258
```

---

# Tm2NiGe6

A relaxed Tm2NiGe6 crystal (PBE-GGA, Materials Project).

## Properties
ΔE_f: -487 meV/atom

Geometry as CIF:
```
data_Tm2NiGe6
_cell_length_a 4.021
_cell_length_b 3.997
_cell_length_c 21.215
_cell_angle_alpha 90.00
_cell_angle_beta 90.00
_cell_angle_gamma 90.00
_space_group_name_H-M_alt 'A m m 2'
_space_group_IT_number 38
_space_group_name_Hall 'A 2 -2'
loop_
_atom_site_label
_atom_site_fract_x
_atom_site_fract_y
_atom_site_fract_z
Tm1 0.000 0.000 0.000
Tm2 0.000 0.000 0.337
Ni1 0.500 0.000 0.557
Ge1 0.000 0.000 0.615
Ge2 0.000 0.000 0.733
Ge3 0.500 0.000 0.115
Ge4 0.500 0.000 0.234
Ge5 0.500 0.000 0.450
Ge6 0.500 0.000 0.875
```

---

# Na2Ca2Si3Sn6S9O48

A relaxed Na2Ca2Si3Sn6S9O48 crystal (PBE-GGA, Materials Project).

## Properties
ΔE_f: -2160 meV/atom

Geometry as CIF:
```
data_Na2Ca2Si3Sn6S9O48
_cell_length_a 8.900
_cell_length_b 15.345
_cell_length_c 23.360
_cell_angle_alpha 89.64
_cell_angle_beta 89.97
_cell_angle_gamma 89.96
_space_group_name_H-M_alt 'P 1'
_space_group_IT_number 1
_space_group_name_Hall 'P 1'
loop_
_atom_site_label
_atom_site_fract_x
_atom_site_fract_y
_atom_site_fract_z
Na1 0.000 0.000 0.000
Na2 0.002 0.003 0.507
Na3 0.011 0.676 0.164
Na4 0.482 0.174 0.668
Na5 0.491 0.505 0.005
Na6 0.498 0.510 0.505
Ca1 0.008 0.679 0.022
Ca2 0.487 0.174 0.525
Ca3 0.499 0.511 0.651
Ca4 0.505 0.176 0.821
Ca5 0.988 0.676 0.320
Ca6 0.997 0.009 0.148
Si1 0.138 0.194 0.591
Si2 0.145 0.825 0.920
Si3 0.216 0.840 0.586
Si4 0.279 0.338 0.086
Si5 0.354 0.694 0.090
Si6 0.647 0.364 0.252
Si7 0.650 0.323 0.920
Si8 0.843 0.824 0.420
Si9 0.847 0.862 0.751
Sn1 0.000 0.341 0.692
Sn2 0.003 0.686 0.524
Sn3 0.007 0.001 0.648
Sn4 0.485 0.831 0.982
Sn5 0.488 0.500 0.146
Sn6 0.491 0.185 0.022
Sn7 0.493 0.842 0.187
Sn8 0.494 0.838 0.692
Sn9 0.497 0.845 0.484
Sn10 0.500 0.180 0.316
Sn11 0.501 0.501 0.855
Sn12 0.503 0.508 0.349
Sn13 0.989 0.001 0.853
Sn14 0.993 0.999 0.353
Sn15 0.995 0.338 0.189
Sn16 0.998 0.334 0.486
Sn17 0.999 0.345 0.983
Sn18 0.999 0.687 0.819
S1 0.135 0.488 0.583
S2 0.143 0.153 0.256
S3 0.145 0.528 0.916
S4 0.152 0.862 0.252
S5 0.197 0.173 0.920
S6 0.205 0.506 0.252
S7 0.288 0.007 0.751
S8 0.297 0.671 0.420
S9 0.344 0.362 0.752
S10 0.347 0.326 0.419
S11 0.348 0.029 0.416
S12 0.348 0.652 0.756
S13 0.360 0.989 0.083
S14 0.638 0.654 0.250
S15 0.643 0.026 0.924
S16 0.645 0.985 0.589
S17 0.646 0.696 0.584
S18 0.696 0.007 0.254
S19 0.701 0.673 0.918
S20 0.711 0.343 0.587
S21 0.779 0.842 0.086
S22 0.795 0.174 0.418
S23 0.799 0.508 0.754
S24 0.847 0.197 0.084
S25 0.849 0.524 0.424
S26 0.850 0.485 0.089
S27 0.857 0.152 0.751
O1 0.048 0.101 0.595
O2 0.059 0.573 0.575
O3 0.063 0.233 0.530
O4 0.064 0.792 0.976
O5 0.068 0.451 0.636
O6 0.070 0.111 0.309
O7 0.072 0.924 0.912
O8 0.074 0.568 0.864
O9 0.075 0.241 0.252
O10 0.080 0.439 0.921
O11 0.085 0.903 0.202
O12 0.091 0.774 0.258
O13 0.094 0.095 0.915
O14 0.104 0.251 0.930
O15 0.108 0.926 0.589
O16 0.109 0.431 0.532
O17 0.109 0.582 0.257
O18 0.110 0.260 0.645
O19 0.117 0.425 0.246
O20 0.119 0.750 0.581
O21 0.124 0.101 0.206
O22 0.126 0.578 0.968
O23 0.126 0.764 0.863
O24 0.126 0.916 0.305
O25 0.175 0.360 0.749
O26 0.176 0.682 0.090
O27 0.178 0.358 0.029
O28 0.179 0.324 0.145
O29 0.181 0.335 0.425
O30 0.182 0.021 0.407
O31 0.184 0.658 0.764
O32 0.194 0.023 0.699
O33 0.195 0.995 0.804
O34 0.197 0.998 0.088
O35 0.203 0.651 0.472
O36 0.210 0.684 0.369
O37 0.286 0.187 0.870
O38 0.291 0.152 0.973
O39 0.297 0.493 0.306
O40 0.298 0.497 0.587
O41 0.303 0.522 0.201
O42 0.308 0.161 0.267
O43 0.313 0.520 0.907
O44 0.314 0.859 0.528
O45 0.316 0.185 0.589
O46 0.319 0.825 0.644
O47 0.320 0.860 0.248
O48 0.329 0.837 0.924
O49 0.368 0.080 0.467
O50 0.371 0.270 0.367
O51 0.372 0.416 0.804
O52 0.372 0.602 0.704
O53 0.377 0.757 0.147
O54 0.377 0.926 0.745
O55 0.378 0.249 0.080
O56 0.386 0.424 0.090
O57 0.387 0.083 0.755
O58 0.390 0.932 0.034
O59 0.393 0.747 0.430
O60 0.399 0.590 0.415
O61 0.404 0.274 0.757
O62 0.408 0.402 0.701
O63 0.414 0.415 0.410
O64 0.415 0.941 0.421
O65 0.417 0.740 0.751
O66 0.418 0.290 0.469
O67 0.420 0.071 0.364
O68 0.424 0.611 0.807
O69 0.426 0.953 0.138
O70 0.435 0.075 0.076
O71 0.438 0.734 0.033
O72 0.447 0.600 0.095
O73 0.565 0.409 0.198
O74 0.567 0.283 0.978
O75 0.568 0.268 0.262
O76 0.568 0.423 0.916
O77 0.569 0.743 0.246
O78 0.570 0.619 0.305
O79 0.576 0.059 0.872
O80 0.576 0.610 0.587
O81 0.578 0.071 0.585
O82 0.578 0.942 0.640
O83 0.579 0.738 0.533
O84 0.586 0.936 0.935
O85 0.594 0.598 0.909
O86 0.596 0.083 0.265
O87 0.601 0.598 0.201
O88 0.601 0.927 0.247
O89 0.611 0.755 0.923
O90 0.615 0.082 0.976
O91 0.616 0.421 0.589
O92 0.620 0.934 0.535
O93 0.622 0.747 0.637
O94 0.625 0.263 0.583
O95 0.627 0.421 0.312
O96 0.631 0.271 0.863
O97 0.663 0.838 0.432
O98 0.665 0.852 0.742
O99 0.679 0.516 0.419
O100 0.682 0.187 0.078
O101 0.683 0.490 0.093
O102 0.683 0.855 0.034
O103 0.689 0.835 0.141
O104 0.694 0.160 0.754
O105 0.699 0.188 0.366
O106 0.702 0.489 0.806
O107 0.707 0.158 0.469
O108 0.711 0.524 0.703
O109 0.786 0.653 0.969
O110 0.787 0.025 0.204
O111 0.790 0.990 0.306
O112 0.793 0.684 0.865
O113 0.801 0.660 0.254
O114 0.805 0.357 0.533
O115 0.806 0.335 0.640
O116 0.811 0.991 0.593
O117 0.812 0.686 0.578
O118 0.813 0.022 0.919
O119 0.828 0.350 0.243
O120 0.829 0.337 0.933
O121 0.863 0.770 0.363
O122 0.863 0.924 0.808
O123 0.866 0.761 0.085
O124 0.870 0.248 0.138
O125 0.874 0.920 0.089
O126 0.875 0.433 0.036
O127 0.876 0.579 0.475
O128 0.887 0.256 0.423
O129 0.893 0.099 0.700
O130 0.893 0.427 0.747
O131 0.897 0.099 0.409
O132 0.899 0.583 0.766
O133 0.914 0.434 0.433
O134 0.914 0.443 0.141
O135 0.914 0.557 0.372
O136 0.915 0.240 0.034
O137 0.915 0.572 0.085
O138 0.918 0.111 0.088
O139 0.919 0.765 0.760
O140 0.925 0.115 0.805
O141 0.925 0.923 0.416
O142 0.926 0.242 0.747
O143 0.927 0.783 0.478
O144 0.927 0.906 0.695
```

---

# AlSb

A relaxed AlSb crystal (PBE-GGA, Materials Project).

## Properties
ΔE_f: -68 meV/atom

Geometry as CIF:
```
data_AlSb
_cell_length_a 5.689
_cell_length_b 6.485
_cell_length_c 5.218
_cell_angle_alpha 90.00
_cell_angle_beta 90.00
_cell_angle_gamma 90.00
_space_group_name_H-M_alt 'C m c m'
_space_group_IT_number 63
_space_group_name_Hall '-C 2c 2'
loop_
_atom_site_label
_atom_site_fract_x
_atom_site_fract_y
_atom_site_fract_z
Al1 0.000 0.126 0.250
Sb1 0.000 0.305 0.750
```

---

# Dy2Sb5

A relaxed Dy2Sb5 crystal (PBE-GGA, Materials Project).

## Properties
ΔE_f: -775 meV/atom

Geometry as CIF:
```
data_Dy2Sb5
_cell_length_a 13.208
_cell_length_b 4.234
_cell_length_c 14.697
_cell_angle_alpha 90.00
_cell_angle_beta 102.15
_cell_angle_gamma 90.00
_space_group_name_H-M_alt 'P 1 21/m 1'
_space_group_IT_number 11
_space_group_name_Hall '-P 2yb'
loop_
_atom_site_label
_atom_site_fract_x
_atom_site_fract_y
_atom_site_fract_z
Dy1 0.047 0.250 0.362
Dy2 0.331 0.250 0.578
Dy3 0.338 0.250 0.855
Dy4 0.393 0.750 0.230
Sb1 0.030 0.250 0.094
Sb2 0.138 0.250 0.677
Sb3 0.142 0.750 0.221
Sb4 0.143 0.750 0.518
Sb5 0.152 0.750 0.827
Sb6 0.279 0.250 0.062
Sb7 0.285 0.250 0.347
Sb8 0.420 0.750 0.025
Sb9 0.425 0.750 0.449
Sb10 0.425 0.750 0.735
```

---

# NaCaSiO4

A relaxed NaCaSiO4 crystal (PBE-GGA, Materials Project).

## Properties
ΔE_f: -2822 meV/atom

Geometry as CIF:
```
data_NaCaSiO4
_cell_length_a 5.408
_cell_length_b 7.158
_cell_length_c 5.449
_cell_angle_alpha 90.00
_cell_angle_beta 116.72
_cell_angle_gamma 90.00
_space_group_name_H-M_alt 'P 1 21/m 1'
_space_group_IT_number 11
_space_group_name_Hall '-P 2yb'
loop_
_atom_site_label
_atom_site_fract_x
_atom_site_fract_y
_atom_site_fract_z
Na1 0.219 0.250 0.341
Ca1 0.500 0.000 0.000
Si1 0.123 0.750 0.332
O1 0.211 0.250 0.767
O2 0.212 0.560 0.216
O3 0.304 0.750 0.667
```